The following is a DFT calculation (meta-GGA r2SCAN) of an optimized crystal structure of CaEu3.

Cell: 6.9252 6.9252 6.9252 Å, 132.68 132.68 69.16°
Positions (direct):
Ca (0.0000, 0.0000, 0.0000)
Eu (0.2500, 0.7500, 0.5000)
Eu (0.5000, 0.5000, 0.0000)
Eu (0.7500, 0.2500, 0.5000)

Properties
DFT total energy (eV/f.u.): -122.4
Space group: I4/mmm (139)
Energy of formation from the pure elements (meV/atom): 46